Here is CeAlO3 after structural relaxation from Materials Project. Energies are from GGA-PBE.

**Space-group type**: Imma
**Calculated volume**: 11.0 A^3/atom
**Formation enthalpy at 0 K**: -3.62 eV per atom
**VASP energy**: -81.134 eV/cell

a b c (Å): 5.364 5.364 5.364
angles (deg): 119.93 119.55 90.45
Atoms (fractional coordinates):
Ce 0.248 0.750 0.498
Ce 0.752 0.250 0.502
Al 0.000 0.000 0.000
Al 0.500 0.500 0.000
O 0.221 0.221 0.500
O 0.779 0.279 0.000
O 0.779 0.779 0.500
O 0.221 0.721 0.000
O 0.305 0.250 0.055
O 0.695 0.750 0.945